Record 1
Below is Lu2IrRh after structural relaxation, with properties calculated at the r2SCAN level.

a = 4.7047 Å, b = 4.7047 Å, c = 4.7047 Å
α = 60.00°, β = 60.00°, γ = 60.00°
Atoms (fractional coordinates):
Lu: 0.2500 0.2500 0.2500
Lu: 0.7500 0.7500 0.7500
Ir: 0.0000 0.0000 0.0000
Rh: 0.5000 0.5000 0.5000

Summary:
**Energy**: -39.2916 eV/atom
**SG**: No. 225
**Total magnetic moment**: 0.00 μB per formula unit
**Formation energy from the elements**: -108.8 kJ per mole of atoms

Record 2
Below is Ba2MgN2 after structural relaxation, with properties calculated at the r2SCAN level.

a = 7.5530 Å, b = 7.5530 Å, c = 7.5530 Å
α = 147.97°, β = 147.97°, γ = 45.93°
Atoms (fractional coordinates):
Ba: 0.1628 0.1628 0.0000
Ba: 0.8372 0.8372 0.0000
Mg: 0.5000 0.5000 0.0000
N: 0.3590 0.3590 0.0000
N: 0.6410 0.6410 0.0000

Summary:
**Energy**: -15.5535 eV/atom
**SG**: No. 139
**Total magnetic moment**: 0.00 μB per formula unit
**Formation energy from the elements**: -45.2 kJ per mole of atoms

Record 3
Below is TmCrO4 after structural relaxation, with properties calculated at the r2SCAN level.

a = 5.8401 Å, b = 5.8401 Å, c = 5.8401 Å
α = 106.28°, β = 106.28°, γ = 116.07°
Atoms (fractional coordinates):
Tm: 0.0000 0.0000 0.0000
Tm: 0.7500 0.2500 0.5000
Cr: 0.2500 0.7500 0.5000
Cr: 0.5000 0.5000 0.0000
O: 0.0687 0.7583 0.6806
O: 0.0777 0.3881 0.3194
O: 0.1381 0.3187 0.8104
O: 0.2417 0.9313 0.3194
O: 0.5083 0.3277 0.1896
O: 0.6119 0.9223 0.6806
O: 0.6723 0.4917 0.8104
O: 0.6813 0.8619 0.1896

Summary:
**Energy**: -15.2139 eV/atom
**SG**: No. 98
**Total magnetic moment**: 1.00 μB per formula unit
**Formation energy from the elements**: -276.6 kJ per mole of atoms

Record 4
Below is K3Cd after structural relaxation, with properties calculated at the r2SCAN level.

a = 6.5200 Å, b = 6.5200 Å, c = 6.5200 Å
α = 60.00°, β = 60.00°, γ = 60.00°
Atoms (fractional coordinates):
K: 0.0000 0.0000 0.0000
K: 0.2500 0.2500 0.2500
K: 0.7500 0.7500 0.7500
Cd: 0.5000 0.5000 0.5000

Summary:
**Energy**: -9.4717 eV/atom
**SG**: No. 225
**Total magnetic moment**: 0.00 μB per formula unit
**Formation energy from the elements**: 6.6 kJ per mole of atoms

Record 5
Below is Sb2O5 after structural relaxation, with properties calculated at the r2SCAN level.

a = 6.7822 Å, b = 6.7822 Å, c = 5.4474 Å
α = 102.93°, β = 102.93°, γ = 41.41°
Atoms (fractional coordinates):
Sb: 0.1034 0.6205 0.7199
Sb: 0.3795 0.8966 0.7801
Sb: 0.6205 0.1034 0.2199
Sb: 0.8966 0.3795 0.2801
O: 0.0168 0.1883 0.9494
O: 0.1883 0.0168 0.4494
O: 0.2176 0.3767 0.3762
O: 0.3767 0.2176 0.8762
O: 0.4216 0.5784 0.7500
O: 0.5784 0.4216 0.2500
O: 0.6233 0.7824 0.1238
O: 0.7824 0.6233 0.6238
O: 0.8117 0.9832 0.5506
O: 0.9832 0.8117 0.0506

Summary:
**Energy**: -13.0712 eV/atom
**SG**: No. 15
**Energy above the most stable polymorph in this dataset**: 0 meV/atom
**Total magnetic moment**: 0.00 μB per formula unit
**Formation energy from the elements**: -140.9 kJ per mole of atoms

Record 6
Below is ErB2C2 after structural relaxation, with properties calculated at the r2SCAN level.

a = 5.3156 Å, b = 5.3156 Å, c = 3.5092 Å
α = 90.00°, β = 90.00°, γ = 90.00°
Atoms (fractional coordinates):
Er: 0.0000 0.0000 0.0000
Er: 0.5000 0.5000 0.0000
B: 0.1360 0.3640 0.5000
B: 0.3640 0.8640 0.5000
B: 0.6360 0.1360 0.5000
B: 0.8640 0.6360 0.5000
C: 0.1627 0.6627 0.5000
C: 0.3373 0.1627 0.5000
C: 0.6627 0.8373 0.5000
C: 0.8373 0.3373 0.5000

Summary:
**Energy**: -14.2386 eV/atom
**SG**: No. 127
**Total magnetic moment**: 0.00 μB per formula unit
**Formation energy from the elements**: -51.7 kJ per mole of atoms

What did the second record say?
Below is Ba2MgN2 after structural relaxation, with properties calculated at the r2SCAN level.

a = 7.5530 Å, b = 7.5530 Å, c = 7.5530 Å
α = 147.97°, β = 147.97°, γ = 45.93°
Atoms (fractional coordinates):
Ba: 0.1628 0.1628 0.0000
Ba: 0.8372 0.8372 0.0000
Mg: 0.5000 0.5000 0.0000
N: 0.3590 0.3590 0.0000
N: 0.6410 0.6410 0.0000

Summary:
**Energy**: -15.5535 eV/atom
**SG**: No. 139
**Total magnetic moment**: 0.00 μB per formula unit
**Formation energy from the elements**: -45.2 kJ per mole of atoms

> What is the total magnetic moment in the fifth record?

0.00 μB per formula unit